Model P:
VASP calculation (PBE-GGA) on a geometry-optimized ZrTi2Pb3O9 structure.

total magnetic moment: 0.00 μB per cell
crystal system: orthorhombic

Cell: 3.9900 11.8610 4.4924 Å, 90.00 90.00 90.00°
Element x y z (fractional)
Zr 0.0000 0.0000 0.0000
Ti 0.0000 0.3379 0.0064
Ti 0.0000 0.6621 0.0064
Pb 0.5000 0.1752 0.5584
Pb 0.5000 0.5000 0.5605
Pb 0.5000 0.8248 0.5584
O 0.0000 0.0000 0.4381
O 0.0000 0.1771 0.9056
O 0.0000 0.3371 0.3973
O 0.0000 0.5000 0.9020
O 0.0000 0.6629 0.3973
O 0.0000 0.8229 0.9056
O 0.5000 0.0000 0.8896
O 0.5000 0.3377 0.9120
O 0.5000 0.6623 0.9120



Model Q:
VASP calculation (PBE-GGA) on a geometry-optimized ZrTi2Pb3O9 structure.

total magnetic moment: 0.00 μB per cell
crystal system: monoclinic

Cell: 5.8303 5.8303 7.0540 Å, 90.63 90.63 58.96°
Element x y z (fractional)
Zr 0.0000 0.0000 0.0000
Ti 0.3353 0.3353 0.3317
Ti 0.6705 0.6705 0.6646
Pb 0.0277 0.0277 0.4938
Pb 0.3574 0.3574 0.8078
Pb 0.6882 0.6882 0.1612
O 0.1407 0.6404 0.1807
O 0.1514 0.1514 0.1932
O 0.3273 0.7975 0.8320
O 0.4743 0.4743 0.5092
O 0.4755 0.9768 0.5119
O 0.6404 0.1407 0.1807
O 0.7975 0.3273 0.8320
O 0.8077 0.8077 0.8452
O 0.9768 0.4755 0.5119



Most stable: model P (next structure +8 meV/atom)



Model P:
VASP calculation (PBE-GGA) on a geometry-optimized Pr5O9 structure.

total magnetic moment: 0.05 μB per cell
crystal system: monoclinic

Cell: 6.7358 21.0467 13.7496 Å, 90.00 108.08 90.00°
Element x y z (fractional)
Pr 0.0000 0.0000 0.0000
Pr 0.0000 0.5000 0.5000
Pr 0.0013 0.1138 0.4803
Pr 0.0013 0.3862 0.9803
Pr 0.0167 0.1882 0.0197
Pr 0.0167 0.3118 0.5197
Pr 0.1993 0.7052 0.2614
Pr 0.1993 0.7948 0.7614
Pr 0.2055 0.0082 0.7309
Pr 0.2055 0.4918 0.2309
Pr 0.2381 0.0918 0.2569
Pr 0.2381 0.4082 0.7569
Pr 0.2888 0.5876 0.7416
Pr 0.2888 0.9124 0.2416
Pr 0.3075 0.2079 0.7453
Pr 0.3075 0.2921 0.2453
Pr 0.4758 0.1109 0.9762
Pr 0.4758 0.3891 0.4762
Pr 0.4796 0.2053 0.5102
Pr 0.4796 0.2947 0.0102
Pr 0.5000 0.0000 0.5000
Pr 0.5000 0.5000 0.0000
Pr 0.5204 0.7053 0.9898
Pr 0.5204 0.7947 0.4898
Pr 0.5242 0.6109 0.5238
Pr 0.5242 0.8891 0.0238
Pr 0.6925 0.7079 0.7547
Pr 0.6925 0.7921 0.2547
Pr 0.7112 0.0876 0.7584
Pr 0.7112 0.4124 0.2584
Pr 0.7619 0.5918 0.2431
Pr 0.7619 0.9082 0.7431
Pr 0.7945 0.5082 0.7691
Pr 0.7945 0.9918 0.2691
Pr 0.8007 0.2052 0.2386
Pr 0.8007 0.2948 0.7386
Pr 0.9833 0.6882 0.4803
Pr 0.9833 0.8118 0.9803
Pr 0.9987 0.6138 0.0197
Pr 0.9987 0.8862 0.5197
O 0.0405 0.5999 0.8439
O 0.0405 0.9001 0.3439
O 0.0439 0.9999 0.1822
O 0.0439 0.5001 0.6822
O 0.0974 0.6004 0.2022
O 0.0974 0.8996 0.7022
O 0.1103 0.0021 0.5375
O 0.1103 0.4979 0.0375
O 0.1124 0.1974 0.2036
O 0.1124 0.3026 0.7036
O 0.1744 0.2043 0.5625
O 0.1744 0.2957 0.0625
O 0.1900 0.6005 0.5645
O 0.1900 0.8995 0.0645
O 0.2399 0.0994 0.0792
O 0.2399 0.4006 0.5792
O 0.2472 0.7080 0.0879
O 0.2472 0.7920 0.5879
O 0.2491 0.2061 0.9131
O 0.2491 0.2939 0.4131
O 0.2580 0.5965 0.9228
O 0.2580 0.9035 0.4228
O 0.3207 0.6961 0.4342
O 0.3207 0.8039 0.9342
O 0.3262 0.1015 0.4473
O 0.3262 0.3985 0.9473
O 0.3844 0.6971 0.7991
O 0.3844 0.8029 0.2991
O 0.3850 0.1014 0.7946
O 0.3850 0.3986 0.2946
O 0.3945 0.5043 0.4577
O 0.3945 0.9957 0.9577
O 0.4632 0.6968 0.1643
O 0.4632 0.8032 0.6643
O 0.4831 0.0043 0.3204
O 0.4831 0.4957 0.8204
O 0.5169 0.5043 0.1796
O 0.5169 0.9957 0.6796
O 0.5368 0.1968 0.3357
O 0.5368 0.3032 0.8357
O 0.6055 0.0043 0.0423
O 0.6055 0.4957 0.5423
O 0.6150 0.6014 0.7054
O 0.6150 0.8986 0.2054
O 0.6156 0.1971 0.7009
O 0.6156 0.3029 0.2009
O 0.6738 0.6015 0.0527
O 0.6738 0.8985 0.5527
O 0.6793 0.1961 0.0658
O 0.6793 0.3039 0.5658
O 0.7420 0.0965 0.5772
O 0.7420 0.4035 0.0772
O 0.7509 0.7061 0.5869
O 0.7509 0.7939 0.0869
O 0.7528 0.2080 0.4121
O 0.7528 0.2920 0.9121
O 0.7601 0.5994 0.4208
O 0.7601 0.9006 0.9208
O 0.8100 0.1005 0.9355
O 0.8100 0.3995 0.4355
O 0.8256 0.7043 0.9375
O 0.8256 0.7957 0.4375
O 0.8876 0.6974 0.2964
O 0.8876 0.8026 0.7964
O 0.8897 0.5021 0.9625
O 0.8897 0.9979 0.4625
O 0.9026 0.1004 0.2978
O 0.9026 0.3996 0.7978
O 0.9561 0.0001 0.8178
O 0.9561 0.4999 0.3178
O 0.9595 0.0999 0.6561
O 0.9595 0.4001 0.1561



Model Q:
VASP calculation (PBE-GGA) on a geometry-optimized Pr5O9 structure.

total magnetic moment: 0.41 μB per cell
crystal system: monoclinic

Cell: 6.9485 20.2986 13.4152 Å, 90.00 101.02 90.00°
Element x y z (fractional)
Pr 0.0897 0.1021 0.3812
Pr 0.0897 0.3979 0.8812
Pr 0.1154 0.6983 0.3570
Pr 0.1154 0.8017 0.8570
Pr 0.1216 0.5060 0.3702
Pr 0.1216 0.9940 0.8702
Pr 0.1292 0.6056 0.8771
Pr 0.1292 0.8944 0.3771
Pr 0.1637 0.2000 0.8691
Pr 0.1637 0.3000 0.3691
Pr 0.3609 0.0090 0.6169
Pr 0.3609 0.4910 0.1169
Pr 0.3671 0.1016 0.1070
Pr 0.3671 0.3984 0.6070
Pr 0.3720 0.6997 0.1231
Pr 0.3720 0.8003 0.6231
Pr 0.3840 0.2046 0.6212
Pr 0.3840 0.2954 0.1212
Pr 0.3871 0.5879 0.6344
Pr 0.3871 0.9121 0.1344
Pr 0.6129 0.0879 0.8656
Pr 0.6129 0.4121 0.3656
Pr 0.6160 0.7046 0.8788
Pr 0.6160 0.7954 0.3788
Pr 0.6280 0.1997 0.3769
Pr 0.6280 0.3003 0.8769
Pr 0.6329 0.6016 0.3930
Pr 0.6329 0.8984 0.8930
Pr 0.6391 0.5090 0.8831
Pr 0.6391 0.9910 0.3831
Pr 0.8363 0.7000 0.6309
Pr 0.8363 0.8000 0.1309
Pr 0.8708 0.1056 0.6229
Pr 0.8708 0.3944 0.1229
Pr 0.8784 0.0060 0.1298
Pr 0.8784 0.4940 0.6298
Pr 0.8846 0.1983 0.1430
Pr 0.8846 0.3017 0.6430
Pr 0.9103 0.6021 0.1188
Pr 0.9103 0.8979 0.6188
O 0.0516 0.0041 0.6845
O 0.0516 0.4959 0.1845
O 0.0674 0.7094 0.1745
O 0.0674 0.7906 0.6745
O 0.0700 0.6082 0.6802
O 0.0700 0.8918 0.1802
O 0.0792 0.2015 0.6881
O 0.0792 0.2985 0.1881
O 0.0949 0.1030 0.2014
O 0.0949 0.3970 0.7014
O 0.1607 0.2004 0.0479
O 0.1607 0.2996 0.5479
O 0.1791 0.0019 0.0608
O 0.1790 0.1053 0.5623
O 0.1790 0.3947 0.0623
O 0.1791 0.4981 0.5608
O 0.2226 0.5970 0.0661
O 0.2226 0.9030 0.5661
O 0.2965 0.6058 0.4489
O 0.2965 0.8942 0.9489
O 0.3006 0.7130 0.9422
O 0.3006 0.7870 0.4422
O 0.3068 0.0938 0.9260
O 0.3068 0.4062 0.4260
O 0.3186 0.0106 0.4259
O 0.3186 0.4894 0.9259
O 0.3232 0.1928 0.4283
O 0.3232 0.3072 0.9283
O 0.4352 0.6036 0.8180
O 0.4352 0.8964 0.3180
O 0.4431 0.5120 0.2998
O 0.4431 0.9880 0.7998
O 0.4506 0.6897 0.3054
O 0.4506 0.8103 0.8054
O 0.4801 0.1975 0.8202
O 0.4801 0.3025 0.3202
O 0.5199 0.6975 0.6798
O 0.5199 0.8025 0.1798
O 0.5494 0.1897 0.1946
O 0.5494 0.3103 0.6946
O 0.5569 0.0120 0.2002
O 0.5569 0.4880 0.7002
O 0.5648 0.1036 0.6820
O 0.5648 0.3964 0.1820
O 0.6768 0.6928 0.0717
O 0.6768 0.8072 0.5717
O 0.6814 0.5106 0.0741
O 0.6814 0.9894 0.5741
O 0.6932 0.5938 0.5740
O 0.6932 0.9062 0.0740
O 0.6994 0.2130 0.5578
O 0.6994 0.2870 0.0578
O 0.7035 0.1058 0.0511
O 0.7035 0.3942 0.5511
O 0.7774 0.0970 0.4339
O 0.7774 0.4030 0.9339
O 0.8209 0.5019 0.4392
O 0.8210 0.6053 0.9377
O 0.8210 0.8947 0.4377
O 0.8209 0.9981 0.9392
O 0.8393 0.7004 0.4521
O 0.8393 0.7996 0.9521
O 0.9051 0.6030 0.2986
O 0.9051 0.8970 0.7986
O 0.9208 0.7015 0.8119
O 0.9208 0.7985 0.3119
O 0.9300 0.1082 0.8198
O 0.9300 0.3918 0.3198
O 0.9326 0.2094 0.3255
O 0.9326 0.2906 0.8255
O 0.9484 0.5041 0.8155
O 0.9484 0.9959 0.3155



Most stable: model Q (next structure +37 meV/atom)



Model P:
VASP calculation (PBE-GGA) on a geometry-optimized Pr2S3O20 structure.

total magnetic moment: 20.01 μB per cell
crystal system: monoclinic

Cell: 7.5322 7.5322 19.5151 Å, 99.82 99.82 52.59°
Element x y z (fractional)
Pr 0.0127 0.9873 0.5000
Pr 0.6863 0.7214 0.7220
Pr 0.7214 0.6863 0.2220
Pr 0.9873 0.0127 0.0000
S 0.0324 0.0931 0.6991
S 0.0931 0.0324 0.1991
S 0.1431 0.5230 0.3727
S 0.5230 0.1431 0.8727
S 0.6340 0.6438 0.0325
S 0.6438 0.6340 0.5325
O 0.0225 0.6708 0.0057
O 0.0432 0.1437 0.4097
O 0.0460 0.9213 0.2403
O 0.0566 0.9834 0.1230
O 0.1288 0.5784 0.5104
O 0.1376 0.4522 0.1380
O 0.1437 0.0432 0.9097
O 0.1518 0.7128 0.3967
O 0.1653 0.4297 0.4579
O 0.2215 0.2781 0.0990
O 0.2781 0.2215 0.5990
O 0.2801 0.9580 0.7146
O 0.3243 0.3330 0.8413
O 0.3330 0.3243 0.3413
O 0.3371 0.9373 0.2165
O 0.3918 0.7493 0.0125
O 0.4015 0.7526 0.5404
O 0.4124 0.4914 0.7278
O 0.4297 0.1653 0.9579
O 0.4522 0.1376 0.6380
O 0.4914 0.4124 0.2278
O 0.5021 0.5480 0.7761
O 0.5480 0.5021 0.2761
O 0.5784 0.1288 0.0104
O 0.5931 0.9207 0.8409
O 0.6599 0.7484 0.1024
O 0.6708 0.0225 0.5057
O 0.6789 0.7216 0.4778
O 0.7128 0.1518 0.8967
O 0.7216 0.6789 0.9778
O 0.7278 0.9910 0.2659
O 0.7484 0.6599 0.6024
O 0.7493 0.3918 0.5125
O 0.7526 0.4015 0.0404
O 0.9213 0.0460 0.7403
O 0.9207 0.5931 0.3409
O 0.9373 0.3371 0.7165
O 0.9580 0.2801 0.2146
O 0.9834 0.0566 0.6230
O 0.9910 0.7278 0.7659



Model Q:
VASP calculation (PBE-GGA) on a geometry-optimized Pr2S3O20 structure.

total magnetic moment: 32.00 μB per cell
crystal system: monoclinic

Cell: 6.5527 6.5527 20.0191 Å, 94.69 94.69 63.84°
Element x y z (fractional)
Pr 0.1464 0.1701 0.3894
Pr 0.1701 0.1464 0.8894
Pr 0.8299 0.8536 0.1106
Pr 0.8536 0.8299 0.6106
S 0.1793 0.2107 0.0805
S 0.2107 0.1793 0.5805
S 0.2368 0.7632 0.7500
S 0.7632 0.2368 0.2500
S 0.7893 0.8207 0.4195
S 0.8207 0.7893 0.9195
O 0.0087 0.7833 0.7255
O 0.0725 0.0944 0.1174
O 0.0745 0.4555 0.1014
O 0.0944 0.0725 0.6174
O 0.1112 0.4260 0.5987
O 0.1396 0.1780 0.0072
O 0.1780 0.1396 0.5072
O 0.2167 0.9913 0.7745
O 0.2476 0.4270 0.3219
O 0.2842 0.6978 0.3710
O 0.2978 0.6850 0.5824
O 0.3022 0.7158 0.1290
O 0.3150 0.7022 0.9176
O 0.3388 0.6083 0.8071
O 0.3505 0.4263 0.4294
O 0.3917 0.6612 0.6929
O 0.4260 0.1112 0.0987
O 0.4263 0.3505 0.9294
O 0.4270 0.2476 0.8219
O 0.4555 0.0745 0.6014
O 0.5445 0.9255 0.3986
O 0.5730 0.7524 0.1781
O 0.5737 0.6495 0.0706
O 0.5740 0.8888 0.9013
O 0.6083 0.3388 0.3071
O 0.6495 0.5737 0.5706
O 0.6612 0.3917 0.1929
O 0.6850 0.2978 0.0824
O 0.6978 0.2842 0.8710
O 0.7022 0.3150 0.4176
O 0.7158 0.3022 0.6290
O 0.7524 0.5730 0.6781
O 0.7833 0.0087 0.2255
O 0.8220 0.8604 0.4928
O 0.8604 0.8220 0.9928
O 0.8888 0.5740 0.4013
O 0.9056 0.9275 0.3826
O 0.9255 0.5445 0.8986
O 0.9275 0.9056 0.8826
O 0.9913 0.2167 0.2745



Most stable: model Q (next structure +75 meV/atom)